# 1
Density functional theory data (meta-GGA r2SCAN) for Nb2Co4O9 after structural relaxation.

Results
* offset from the most stable computed form: 0 meV/atom

```
Nb2Co4O9
1.0
-3.407 1.923 -3.338
-4.747 1.232 1.594
4.518 13.082 2.934
Nb Co O
4 8 18
direct
0.999 0.006 0.641
0.005 0.995 0.859
0.000 0.996 0.358
0.996 0.004 0.141
0.334 0.333 0.015
0.332 0.335 0.515
0.667 0.665 0.985
0.335 0.336 0.808
0.667 0.667 0.485
0.671 0.665 0.692
0.329 0.335 0.308
0.665 0.664 0.192
0.703 0.293 0.250
0.996 0.707 0.249
0.291 0.000 0.250
0.297 0.707 0.749
0.004 0.293 0.751
0.710 0.000 0.750
0.347 0.980 0.583
0.675 0.348 0.583
0.978 0.676 0.584
0.328 0.020 0.917
0.023 0.652 0.917
0.654 0.325 0.916
0.652 0.021 0.417
0.324 0.653 0.417
0.021 0.326 0.416
0.673 0.979 0.083
0.978 0.347 0.083
0.347 0.674 0.084
```


# 2
Density functional theory data (meta-GGA r2SCAN) for Sm2Si5Pd3 after structural relaxation.

```
Sm2Si5Pd3
1.0
-2.978 4.978 5.832
2.980 -4.975 5.831
2.975 4.974 -5.830
Sm Si Pd
4 10 6
direct
0.639 0.872 0.767
0.361 0.128 0.233
0.106 0.372 0.733
0.894 0.628 0.266
0.274 0.025 0.751
0.726 0.975 0.249
0.726 0.476 0.750
0.274 0.524 0.250
0.464 0.614 0.850
0.536 0.386 0.150
0.765 0.115 0.650
0.235 0.885 0.350
0.000 0.750 0.749
0.000 0.250 0.251
0.248 0.638 0.610
0.752 0.362 0.390
0.028 0.138 0.890
0.972 0.862 0.110
0.500 0.750 0.250
0.500 0.250 0.750
```


# 3
Density functional theory data (meta-GGA r2SCAN) for Sc5CCl8 after structural relaxation.

```
Sc5CCl8
1.0
3.481 0.000 0.661
1.533 8.917 1.426
-0.002 0.021 9.513
Sc C Cl
5 1 8
direct
0.839 0.649 0.673
0.161 0.351 0.327
0.488 0.637 0.386
0.512 0.363 0.614
0.000 0.000 0.000
0.000 0.500 0.500
0.028 0.179 0.766
0.972 0.821 0.234
0.328 0.509 0.834
0.672 0.491 0.166
0.700 0.166 0.435
0.300 0.834 0.565
0.369 0.158 0.104
0.631 0.842 0.896
```


# 4
Density functional theory data (meta-GGA r2SCAN) for Li2AgPb after structural relaxation.

```
Li2AgPb
1.0
4.092 0.000 2.363
1.364 3.858 2.363
0.000 0.000 4.725
Li Ag Pb
2 1 1
direct
0.250 0.250 0.250
0.500 0.500 0.500
0.750 0.750 0.750
0.000 0.000 0.000
```


# 5
Density functional theory data (meta-GGA r2SCAN) for Hf2Al3 after structural relaxation.

```
Hf2Al3
1.0
-1.719 3.869 3.473
-2.599 -0.725 -4.765
-2.041 -6.115 3.628
Hf Al
4 6
direct
0.137 0.769 0.894
0.875 0.243 0.106
0.019 0.887 0.394
0.493 0.625 0.606
0.622 0.622 0.000
0.872 0.372 0.500
0.545 0.181 0.729
0.451 0.815 0.271
0.431 0.295 0.229
0.065 0.201 0.771
```


# 6
Density functional theory data (meta-GGA r2SCAN) for Zr3Zn3N after structural relaxation.

```
Zr3Zn3N
1.0
-0.050 1.466 8.421
1.438 7.884 2.974
-6.379 4.469 3.522
Zr Zn N
12 12 4
direct
0.813 0.187 0.187
0.187 0.813 0.187
0.813 0.813 0.187
0.187 0.813 0.813
0.813 0.187 0.813
0.187 0.187 0.813
0.437 0.063 0.063
0.063 0.437 0.063
0.437 0.437 0.063
0.063 0.437 0.437
0.437 0.063 0.437
0.063 0.063 0.437
0.420 0.420 0.741
0.420 0.420 0.420
0.741 0.420 0.420
0.420 0.741 0.420
0.830 0.830 0.509
0.830 0.830 0.830
0.509 0.830 0.830
0.830 0.509 0.830
0.625 0.625 0.125
0.625 0.625 0.625
0.125 0.625 0.625
0.625 0.125 0.625
0.125 0.125 0.625
0.125 0.125 0.125
0.625 0.125 0.125
0.125 0.625 0.125
```


# 7
Density functional theory data (meta-GGA r2SCAN) for SiPd after structural relaxation.

```
SiPd
1.0
-1.819 -2.710 1.089
2.099 -3.087 -4.177
4.675 -1.691 3.599
Si Pd
4 4
direct
0.250 0.677 0.928
0.750 0.323 0.072
0.250 0.177 0.572
0.750 0.823 0.428
0.250 0.503 0.309
0.750 0.497 0.691
0.250 0.003 0.191
0.750 0.997 0.809
```


# 8
Density functional theory data (meta-GGA r2SCAN) for Lu2ZnOs after structural relaxation.

```
Lu2ZnOs
1.0
2.987 -2.497 -2.754
2.284 -3.788 1.782
-1.186 -4.391 -1.433
Lu Zn Os
2 1 1
direct
0.000 0.000 0.000
0.500 0.500 0.500
0.750 0.750 0.750
0.250 0.250 0.250
```


# 9
Density functional theory data (meta-GGA r2SCAN) for U4Te3Se3 after structural relaxation.

```
U4Te3Se3
1.0
2.418 -3.062 -1.462
-7.634 -7.828 3.771
-5.755 0.509 -10.583
U Te Se
8 6 6
direct
0.750 0.502 0.678
0.750 0.998 0.178
0.250 0.487 0.307
0.250 0.012 0.808
0.250 0.187 0.497
0.250 0.315 0.995
0.750 0.809 0.518
0.750 0.688 0.020
0.250 0.946 0.376
0.250 0.556 0.875
0.250 0.296 0.732
0.250 0.206 0.232
0.750 0.697 0.276
0.750 0.802 0.776
0.250 0.625 0.541
0.250 0.876 0.041
0.750 0.369 0.455
0.750 0.130 0.956
0.750 0.051 0.619
0.750 0.448 0.120
```


# 10
Density functional theory data (meta-GGA r2SCAN) for NaSmS2 after structural relaxation.

```
NaSmS2
1.0
-2.030 -3.517 0.000
-4.061 0.000 0.000
-2.030 -1.172 -6.619
Na Sm S
1 1 2
direct
0.500 0.500 0.500
0.000 0.000 0.000
0.745 0.745 0.766
0.255 0.255 0.234
```


# 11
Density functional theory data (meta-GGA r2SCAN) for RbTaO3 after structural relaxation.

```
RbTaO3
1.0
-3.542 -1.681 3.273
4.724 -7.006 0.470
2.695 6.647 5.428
Rb Ta O
4 4 12
direct
0.500 0.500 0.000
0.911 0.202 0.596
0.500 0.500 0.500
0.089 0.798 0.404
0.525 0.012 0.814
0.998 0.785 0.855
0.002 0.215 0.145
0.475 0.988 0.186
0.263 0.075 0.990
0.781 0.214 0.958
0.402 0.108 0.682
0.852 0.561 0.769
0.289 0.782 0.729
0.801 0.877 0.707
0.199 0.123 0.293
0.711 0.218 0.271
0.148 0.439 0.231
0.598 0.892 0.318
0.219 0.786 0.042
0.737 0.925 0.010
```


# 12
Density functional theory data (meta-GGA r2SCAN) for Gd2SeO2 after structural relaxation.

```
Gd2SeO2
1.0
3.893 0.000 0.000
-1.946 3.371 0.000
0.000 0.000 6.879
Gd Se O
2 1 2
direct
0.667 0.333 0.711
0.333 0.667 0.289
0.000 0.000 0.000
0.667 0.333 0.375
0.333 0.667 0.625
```


# 13
Density functional theory data (meta-GGA r2SCAN) for Cr2CuSe4 after structural relaxation.

```
Cr2CuSe4
1.0
-4.371 -5.748 -1.274
1.139 -6.325 3.530
-4.722 -2.227 5.148
Cr Cu Se
4 2 8
direct
0.500 0.500 0.500
0.500 0.500 0.000
0.000 0.500 0.500
0.500 0.000 0.500
0.875 0.875 0.875
0.125 0.125 0.125
0.257 0.257 0.257
0.743 0.743 0.271
0.271 0.743 0.743
0.743 0.271 0.743
0.729 0.257 0.257
0.257 0.729 0.257
0.257 0.257 0.729
0.743 0.743 0.743
```


# 14
Density functional theory data (meta-GGA r2SCAN) for LaPrMg2 after structural relaxation.

```
LaPrMg2
1.0
3.731 -2.614 3.219
-0.228 -5.541 0.597
3.918 -3.219 -2.323
La Pr Mg
1 1 2
direct
0.500 0.500 0.500
0.000 0.000 0.000
0.250 0.250 0.250
0.750 0.750 0.750
```


# 15
Density functional theory data (meta-GGA r2SCAN) for CeAl8Co2 after structural relaxation.

```
CeAl8Co2
1.0
0.000 0.000 3.986
12.342 0.000 0.000
0.000 14.250 0.000
Ce Al Co
4 32 8
direct
0.000 0.841 0.182
0.000 0.159 0.818
0.000 0.341 0.318
0.000 0.659 0.682
0.500 0.500 0.000
0.500 0.000 0.500
0.000 0.500 0.500
0.000 0.000 0.000
0.500 0.659 0.121
0.500 0.341 0.879
0.500 0.159 0.379
0.500 0.841 0.621
0.500 0.953 0.321
0.500 0.047 0.679
0.500 0.453 0.179
0.500 0.547 0.821
0.500 0.736 0.328
0.500 0.264 0.672
0.500 0.236 0.172
0.500 0.764 0.828
0.500 0.832 0.008
0.500 0.168 0.992
0.500 0.332 0.492
0.500 0.668 0.508
0.500 0.526 0.369
0.500 0.474 0.631
0.500 0.026 0.131
0.500 0.974 0.869
0.000 0.841 0.456
0.000 0.159 0.544
0.000 0.341 0.044
0.000 0.659 0.956
0.000 0.595 0.248
0.000 0.405 0.752
0.000 0.095 0.252
0.000 0.905 0.748
0.000 0.652 0.403
0.000 0.348 0.597
0.000 0.152 0.097
0.000 0.848 0.903
0.000 0.535 0.095
0.000 0.465 0.905
0.000 0.035 0.405
0.000 0.965 0.595
```


# 16
Density functional theory data (meta-GGA r2SCAN) for NiGePd after structural relaxation.

```
NiGePd
1.0
3.609 0.000 0.000
0.000 3.609 0.000
0.000 0.000 6.216
Ni Ge Pd
2 2 2
direct
0.250 0.750 0.000
0.750 0.250 0.000
0.250 0.250 0.244
0.750 0.750 0.756
0.250 0.250 0.640
0.750 0.750 0.360
```


# 17
Density functional theory data (meta-GGA r2SCAN) for NdAl2Ni after structural relaxation.

```
NdAl2Ni
1.0
2.021 -5.467 0.000
2.021 5.467 0.000
0.000 0.000 6.883
Nd Al Ni
2 4 2
direct
0.554 0.446 0.250
0.446 0.554 0.750
0.828 0.172 0.058
0.172 0.828 0.942
0.172 0.828 0.558
0.828 0.172 0.442
0.281 0.719 0.250
0.719 0.281 0.750
```


# 18
Density functional theory data (meta-GGA r2SCAN) for ErGa3Os after structural relaxation.

```
ErGa3Os
1.0
6.352 0.000 0.000
0.000 6.352 0.000
0.000 0.000 6.352
Er Ga Os
3 9 3
direct
0.500 0.000 0.000
0.000 0.500 0.000
0.000 0.000 0.500
0.289 0.289 0.289
0.711 0.711 0.711
0.711 0.711 0.289
0.711 0.289 0.711
0.289 0.289 0.711
0.289 0.711 0.289
0.289 0.711 0.711
0.711 0.289 0.289
0.000 0.000 0.000
0.000 0.500 0.500
0.500 0.000 0.500
0.500 0.500 0.000
```


# 19
Density functional theory data (meta-GGA r2SCAN) for YbNiO3 after structural relaxation.

```
YbNiO3
1.0
-1.827 0.636 3.124
1.532 -2.983 1.503
2.796 2.050 1.218
Yb Ni O
1 1 3
direct
0.000 0.000 0.000
0.500 0.500 0.500
0.500 0.500 0.000
0.500 0.000 0.500
0.000 0.500 0.500
```


Number 1: energy of formation from the pure elements -43.8 kcal/mol of atoms. Number 2: energy of formation from the pure elements -19.8 kcal/mol of atoms. Number 3: energy of formation from the pure elements -47.0 kcal/mol of atoms. Number 4: energy of formation from the pure elements -7.1 kcal/mol of atoms. Number 5: energy of formation from the pure elements -11.1 kcal/mol of atoms. Number 6: energy of formation from the pure elements -19.8 kcal/mol of atoms. Number 7: energy of formation from the pure elements -11.7 kcal/mol of atoms. Number 8: energy of formation from the pure elements -10.4 kcal/mol of atoms. Number 9: energy of formation from the pure elements -32.4 kcal/mol of atoms. Number 10: energy of formation from the pure elements -48.3 kcal/mol of atoms. Number 11: energy of formation from the pure elements -65.6 kcal/mol of atoms. Number 12: energy of formation from the pure elements -77.3 kcal/mol of atoms. Number 13: energy of formation from the pure elements -16.3 kcal/mol of atoms. Number 14: energy of formation from the pure elements -2.7 kcal/mol of atoms. Number 15: energy of formation from the pure elements -10.7 kcal/mol of atoms. Number 16: energy of formation from the pure elements -10.1 kcal/mol of atoms. Number 17: energy of formation from the pure elements -14.5 kcal/mol of atoms. Number 18: energy of formation from the pure elements -12.9 kcal/mol of atoms. Number 19: energy of formation from the pure elements -52.3 kcal/mol of atoms.